1.
Here is EuB4Ru4 after structural relaxation from the Materials Project. Energies are from GGA-PBE.

Cell and atoms, written as extended XYZ:
```
36
Lattice="2.5032 -1.0212 8.8459 -3.3707 6.9932 5.0292 -3.9941 -5.7887 -6.0081" Properties=species:S:1:pos:R:3 pbc="T T T"
Ru 0.2483 -0.9445 5.5689
B -1.5450 4.6183 7.5058
Ru -2.7842 2.5999 1.8099
Ru -3.5435 0.4110 6.8295
Ru -4.8774 3.4206 3.3696
B -2.8088 5.3354 8.5625
Ru -1.5489 2.4813 8.1070
Eu -0.7455 -3.4049 1.4189
B -1.5242 -0.2541 1.3544
B -2.7684 -1.7257 -2.2150
B -2.5327 5.1879 4.5183
Ru -4.9069 0.8508 2.4300
Ru -2.8062 6.2138 6.4219
Eu -0.2169 1.4930 3.4688
Ru -1.5269 -1.1325 3.4950
B -3.4576 -3.4647 2.6154
B -1.6359 1.5144 6.1555
Ru -2.2805 -2.1396 5.9252
Ru -0.2904 -3.4310 4.5616
Ru -3.4203 -1.5582 1.4787
B -1.8004 -0.1067 5.3986
B -2.7881 0.4629 2.4111
B -4.8696 2.7573 1.2934
B -3.0848 -2.3013 -0.5427
Ru -1.2107 -0.9674 -0.6812
B -2.6972 3.5668 3.7614
B -5.2424 1.5939 4.4514
Eu -3.6824 0.6023 -0.4895
Ru -3.4498 -4.1280 0.5391
Ru -3.0287 1.5096 4.3077
Ru -2.1629 -5.2907 3.1638
B -3.4784 1.4077 8.7668
B -2.3457 -3.1362 3.9879
Ru -1.3044 3.5716 5.6092
B -2.1881 -5.9748 1.0945
Eu -0.6507 4.4790 10.4064
```

Results
**ΔE_f**: -34.29 kJ/mol of atoms
**Magnetic moment**: 23.75 Bohr magnetons per cell
**Electronic total energy**: -8.5857 eV/atom
**Space group**: No. 142

2.
Here is Ce2Bi after structural relaxation from the Materials Project. Energies are from GGA-PBE.

Cell and atoms, written as extended XYZ:
```
6
Lattice="-1.2164 -9.1670 -2.3206 -2.5664 -8.3064 3.9136 -1.1813 9.3337 -1.5443" Properties=species:S:1:pos:R:3 pbc="T T T"
Bi -0.5240 -2.4203 0.2207
Bi -3.2589 -15.0531 1.3724
Ce -1.2322 -5.6915 0.5189
Ce -1.8739 0.5137 1.1846
Ce -2.5507 -11.7819 1.0741
Ce -1.1988 0.0834 -1.9325
```

Results
**ΔE_f**: -52.75 kJ/mol of atoms
**Electronic total energy**: -5.7988 eV/atom
**Space group**: No. 139

3.
Here is K2EuSi4O10F after structural relaxation from the Materials Project. Energies are from GGA-PBE.

Cell and atoms, written as extended XYZ:
```
72
Lattice="8.6953 0.0000 0.0000 0.0000 11.8881 0.0000 0.0000 4.7412 11.0432" Properties=species:S:1:pos:R:3 pbc="T T T"
O 4.2262 13.3718 9.8193
O 4.0204 13.1507 7.1723
F 6.5215 10.8634 2.3924
Si 0.5654 14.1868 8.4473
O 0.1214 13.3718 9.8193
O 0.3092 12.9915 2.7620
O 4.6513 7.5382 1.0756
Si 0.6296 8.7067 0.3502
K 2.1738 8.0774 5.2070
F 2.1738 10.5664 3.7906
O 4.0385 12.9915 2.7620
Si 0.6168 9.4109 8.3653
O 4.4691 3.2575 1.2240
O 6.5215 8.5223 10.6396
O 0.3036 9.0911 9.9676
Si 4.9131 2.4424 2.5960
Si 3.7181 8.7067 0.3502
O 8.2978 11.2465 5.3934
Si 3.7822 14.1868 8.4473
O 2.1738 9.9483 8.2931
O 8.2330 6.4637 10.0531
Si 3.7308 9.4109 8.3653
O 4.0440 9.0911 9.9676
Si 8.0689 11.8331 6.8550
Eu 4.3009 5.8765 7.8566
O 8.3354 10.7014 8.0312
O 2.1738 4.2547 3.9097
Si 4.9773 7.9225 10.6931
K 2.1738 13.3107 4.9132
Si 4.9741 11.8331 6.8550
O 8.3790 8.4789 3.6318
Si 3.7213 4.7962 4.1882
O 8.3681 3.4786 3.8710
O 2.1738 14.4956 8.5202
F 6.5215 6.0628 7.2526
K 6.5215 11.3544 10.1557
Eu 8.6486 10.7528 3.1866
O 0.4623 10.1656 0.9901
O 4.6640 8.4789 3.6318
O 8.3862 3.6378 8.2813
O 4.7076 10.7014 8.0312
O 0.3975 5.3828 5.6498
O 8.5739 3.2575 1.2240
O 4.0313 8.1504 7.4114
K 2.1738 5.2749 0.8876
O 6.5215 12.3746 7.1336
F 2.1738 5.7659 8.6508
O 0.3599 5.9279 3.0120
O 3.8854 10.1656 0.9901
K 6.5215 3.3185 6.1300
O 6.5215 6.6810 2.7502
O 4.7452 11.2465 5.3934
Si 4.9645 7.2184 2.6779
O 0.3163 8.1504 7.4114
O 4.6749 3.4786 3.8710
K 6.5215 16.0793 10.6646
O 3.9878 5.9279 3.0120
Si 8.0785 7.2184 2.6779
O 8.3917 7.5382 1.0756
Si 8.0657 7.9225 10.6931
Eu 0.0467 5.8765 7.8566
Si 0.6264 4.7962 4.1882
O 2.1738 8.1069 0.4037
K 2.1738 0.5500 0.3787
O 4.6568 3.6378 8.2813
O 4.8100 6.4637 10.0531
O 3.9502 5.3828 5.6498
O 0.3272 13.1507 7.1723
Eu 4.3944 10.7528 3.1866
Si 8.1299 2.4424 2.5960
K 6.5215 8.5518 5.8362
O 6.5215 2.1337 2.5231
```

Results
**ΔE_f**: -306.88 kJ/mol of atoms
**Magnetic moment**: 24.00 Bohr magnetons per cell
**Electronic total energy**: -7.5273 eV/atom
**Space group**: No. 11

4.
Here is ErP2H7O10 after structural relaxation from the Materials Project. Energies are from GGA-PBE.

Cell and atoms, written as extended XYZ:
```
80
Lattice="8.2823 0.0000 0.0000 0.0000 9.7742 0.0000 0.0000 0.0000 11.0033" Properties=species:S:1:pos:R:3 pbc="T T T"
H 0.7156 2.8023 7.7341
H 4.1774 4.1002 6.8371
O 2.7076 5.6392 9.8078
P 5.2034 5.6711 0.5390
O 5.8987 8.1835 6.3585
H 1.0270 5.9895 0.1513
O 1.7575 1.5906 0.8568
H 6.6144 7.3306 0.0000
H 8.2461 0.7869 1.3355
O 5.3793 0.9833 6.9015
H 4.1774 0.7869 4.1662
P 3.0789 0.7840 0.5390
H 7.2553 3.7847 10.8521
Er 6.2117 2.3284 2.7508
O 1.2381 8.7909 1.3998
H 5.8090 7.3306 5.5017
P 1.0622 0.7840 4.9627
O 2.9030 8.7909 4.1019
O 6.8488 4.1349 4.3062
O 5.5747 0.7521 9.8078
P 7.2201 8.9901 6.0406
H 7.5667 6.9719 3.2692
O 1.7575 3.2965 10.1465
H 3.4256 2.8023 8.7709
O 6.5248 8.1835 10.1465
H 1.0270 8.6718 10.8521
H 4.1049 8.9873 6.8371
O 4.1931 6.4087 1.7655
H 7.2553 1.1024 0.1513
O 7.0442 0.9833 9.6035
O 3.1557 8.7598 6.6753
O 1.4335 5.6392 6.6972
O 0.0520 3.3655 7.2672
H 1.6679 2.4435 0.0000
O 8.2303 8.2526 7.2672
P 7.2201 5.6711 4.9627
H 3.4256 2.0848 2.2324
O 0.9855 8.7598 9.8297
H 5.1681 3.7847 5.6529
H 0.0362 5.6740 1.3355
Er 2.0706 7.4457 8.2525
O 2.3836 3.2965 6.3585
H 0.7156 2.0848 3.2692
O 5.1266 1.0144 4.3280
H 3.1142 5.9895 5.3504
O 5.5747 4.1349 1.1955
H 3.1142 8.6718 5.6529
O 8.2303 6.4087 3.7362
H 5.1681 1.1024 5.3504
O 4.0892 1.5216 1.7655
Er 6.2117 2.5587 8.2525
O 4.0892 3.3655 9.2378
O 0.0520 1.5216 3.7362
P 3.0789 4.1030 10.4644
O 1.2381 5.8704 9.6035
O 7.2968 1.0144 1.1736
P 5.2034 8.9901 10.4644
H 4.1049 5.6740 4.1662
H 0.0362 8.9873 9.6679
O 4.1931 8.2526 9.2378
O 7.2968 3.8727 9.8297
O 3.1557 5.9015 4.3280
O 7.0442 3.9038 1.3998
O 6.8488 0.7521 6.6972
O 2.7076 9.0220 1.1955
H 4.8567 7.6893 8.7709
H 2.4733 2.4435 5.5017
O 5.1266 3.8727 6.6753
O 1.4335 9.0220 4.3062
O 5.3793 3.9038 4.1019
H 7.5667 7.6893 7.7341
Er 2.0706 7.2155 2.7508
O 2.3836 1.5906 4.6449
O 2.9030 5.8704 6.9015
O 6.5248 6.4777 0.8568
H 8.2461 4.1002 9.6679
O 0.9855 5.9015 1.1736
H 4.8567 6.9719 2.2324
O 5.8987 6.4777 4.6449
P 1.0622 4.1030 6.0406
```

Results
**ΔE_f**: -150.42 kJ/mol of atoms
**Magnetic moment**: 0.00 Bohr magnetons per cell
**Electronic total energy**: -5.6466 eV/atom
**Space group**: No. 52